Na4MgGaP3O12 | GGA-PBE | relaxed

POSCAR file:
```
Na4MgGaP3O12
1.0
8.882 0.000 0.000
-4.441 7.692 0.000
0.000 0.000 21.919
Na Mg Ga P O
24 6 6 18 72
Direct
0.635 0.003 0.250 Na
0.368 0.365 0.250 Na
0.997 0.632 0.250 Na
0.635 0.632 0.750 Na
0.997 0.365 0.750 Na
0.368 0.003 0.750 Na
0.302 0.336 0.583 Na
0.034 0.698 0.583 Na
0.664 0.966 0.583 Na
0.302 0.966 0.083 Na
0.664 0.698 0.083 Na
0.034 0.336 0.083 Na
0.969 0.670 0.916 Na
0.701 0.031 0.916 Na
0.330 0.299 0.916 Na
0.969 0.299 0.416 Na
0.330 0.031 0.416 Na
0.701 0.670 0.416 Na
0.000 0.000 0.499 Na
0.000 0.000 0.999 Na
0.667 0.333 0.832 Na
0.667 0.333 0.332 Na
0.333 0.667 0.166 Na
0.333 0.667 0.666 Na
0.000 0.000 0.351 Mg
0.000 0.000 0.851 Mg
0.667 0.333 0.684 Mg
0.667 0.333 0.184 Mg
0.333 0.667 0.017 Mg
0.333 0.667 0.517 Mg
0.000 0.000 0.652 Ga
0.000 0.000 0.152 Ga
0.667 0.333 0.985 Ga
0.667 0.333 0.485 Ga
0.333 0.667 0.319 Ga
0.333 0.667 0.819 Ga
0.292 0.999 0.251 P
0.706 0.708 0.251 P
0.001 0.294 0.251 P
0.292 0.294 0.751 P
0.001 0.708 0.751 P
0.706 0.999 0.751 P
0.959 0.332 0.584 P
0.373 0.041 0.584 P
0.668 0.627 0.584 P
0.959 0.627 0.084 P
0.668 0.041 0.084 P
0.373 0.332 0.084 P
0.625 0.665 0.917 P
0.040 0.375 0.917 P
0.335 0.960 0.917 P
0.625 0.960 0.417 P
0.335 0.375 0.417 P
0.040 0.665 0.417 P
0.211 0.032 0.307 O
0.821 0.789 0.307 O
0.968 0.179 0.307 O
0.211 0.179 0.807 O
0.968 0.789 0.807 O
0.821 0.032 0.807 O
0.786 0.961 0.693 O
0.175 0.214 0.693 O
0.039 0.825 0.693 O
0.786 0.825 0.193 O
0.039 0.214 0.193 O
0.175 0.961 0.193 O
0.878 0.365 0.640 O
0.487 0.122 0.640 O
0.635 0.513 0.640 O
0.878 0.513 0.140 O
0.635 0.122 0.140 O
0.487 0.365 0.140 O
0.453 0.294 0.026 O
0.842 0.547 0.026 O
0.706 0.158 0.026 O
0.453 0.158 0.526 O
0.706 0.547 0.526 O
0.842 0.294 0.526 O
0.544 0.698 0.973 O
0.154 0.456 0.973 O
0.302 0.846 0.973 O
0.544 0.846 0.473 O
0.302 0.456 0.473 O
0.154 0.698 0.473 O
0.120 0.628 0.359 O
0.508 0.880 0.359 O
0.372 0.492 0.359 O
0.120 0.492 0.859 O
0.372 0.880 0.859 O
0.508 0.628 0.859 O
0.019 0.827 0.411 O
0.808 0.981 0.411 O
0.173 0.192 0.411 O
0.019 0.192 0.911 O
0.173 0.981 0.911 O
0.808 0.827 0.911 O
0.975 0.164 0.589 O
0.189 0.025 0.589 O
0.836 0.811 0.589 O
0.975 0.811 0.089 O
0.836 0.025 0.089 O
0.189 0.164 0.089 O
0.686 0.160 0.744 O
0.475 0.314 0.744 O
0.840 0.525 0.744 O
0.686 0.525 0.244 O
0.840 0.314 0.244 O
0.475 0.160 0.244 O
0.642 0.497 0.922 O
0.855 0.358 0.922 O
0.503 0.145 0.922 O
0.642 0.145 0.422 O
0.503 0.358 0.422 O
0.855 0.497 0.422 O
0.352 0.494 0.077 O
0.141 0.648 0.077 O
0.506 0.859 0.077 O
0.352 0.859 0.577 O
0.506 0.648 0.577 O
0.141 0.494 0.577 O
0.309 0.830 0.256 O
0.522 0.691 0.256 O
0.170 0.478 0.256 O
0.309 0.478 0.756 O
0.170 0.691 0.756 O
0.522 0.830 0.756 O
```

## Properties
Its formation energy is -2.663 eV per atom. For the total energy, the calculation gives -6.343 eV/atom.